Entry 1:
AlCuF5: optimized geometry, PBE.

Summary:
- Crystal system: orthorhombic
- Formation enthalpy at 0 K: -283.0 kJ per mole of atoms
- Space-group type: Immm (71)

a b c (Å): 5.161 5.161 5.161
angles (deg): 139.25 105.38 88.70
Fractional coordinates of all 7 atoms:
1 Al 0.000 0.000 0.000
2 Cu 0.500 0.500 0.000
3 F 0.000 0.500 0.500
4 F 0.247 0.247 0.000
5 F 0.292 0.000 0.292
6 F 0.708 0.000 0.708
7 F 0.753 0.753 0.000

Entry 2:
TmMnRh2: optimized geometry, PBE.

Summary:
- Crystal system: cubic
- Formation enthalpy at 0 K: -54.5 kJ per mole of atoms
- Space-group type: Fm-3m (225)

a b c (Å): 4.560 4.560 4.560
angles (deg): 60.00 60.00 60.00
Fractional coordinates of all 4 atoms:
1 Tm 0.000 0.000 0.000
2 Mn 0.500 0.500 0.500
3 Rh 0.250 0.250 0.250
4 Rh 0.750 0.750 0.750

Entry 3:
Ta2TcOs: optimized geometry, PBE.

Summary:
- Crystal system: cubic
- Formation enthalpy at 0 K: -39.0 kJ per mole of atoms
- Space-group type: Fm-3m (225)

a b c (Å): 4.510 4.510 4.510
angles (deg): 60.00 60.00 60.00
Fractional coordinates of all 4 atoms:
1 Ta 0.250 0.250 0.250
2 Ta 0.750 0.750 0.750
3 Tc 0.000 0.000 0.000
4 Os 0.500 0.500 0.500

Entry 4:
KMgH3: optimized geometry, PBE.

Summary:
- Crystal system: cubic
- Formation enthalpy at 0 K: -34.5 kJ per mole of atoms
- Space-group type: Pm-3m (221)

a b c (Å): 4.024 4.024 4.024
angles (deg): 90.00 90.00 90.00
Fractional coordinates of all 5 atoms:
1 K 0.000 0.000 0.000
2 Mg 0.500 0.500 0.500
3 H 0.000 0.500 0.500
4 H 0.500 0.000 0.500
5 H 0.500 0.500 0.000

Entry 5:
CaSi3SnO11: optimized geometry, PBE.

Summary:
- Crystal system: orthorhombic
- Formation enthalpy at 0 K: -228.9 kJ per mole of atoms
- Space-group type: Pnna (52)

a b c (Å): 14.630 11.756 5.303
angles (deg): 90.00 90.00 90.00
Fractional coordinates of all 64 atoms:
1 Ca 0.090 0.250 0.250
2 Ca 0.410 0.750 0.250
3 Ca 0.590 0.250 0.750
4 Ca 0.910 0.750 0.750
5 Si 0.067 0.750 0.250
6 Si 0.142 0.530 0.501
7 Si 0.142 0.970 0.999
8 Si 0.358 0.030 0.999
9 Si 0.358 0.470 0.501
10 Si 0.433 0.250 0.250
11 Si 0.567 0.750 0.750
12 Si 0.642 0.530 0.499
13 Si 0.642 0.970 0.001
14 Si 0.858 0.030 0.001
15 Si 0.858 0.470 0.499
16 Si 0.933 0.250 0.750
17 Sn 0.000 0.000 0.500
18 Sn 0.000 0.500 0.000
19 Sn 0.500 0.000 0.500
20 Sn 0.500 0.500 0.000
21 O 0.001 0.677 0.059
22 O 0.001 0.823 0.441
23 O 0.080 0.052 0.186
24 O 0.080 0.448 0.314
25 O 0.117 0.512 0.795
26 O 0.117 0.988 0.705
27 O 0.131 0.663 0.411
28 O 0.131 0.837 0.089
29 O 0.211 0.215 0.664
30 O 0.211 0.285 0.836
31 O 0.250 0.000 0.044
32 O 0.250 0.500 0.456
33 O 0.289 0.715 0.836
34 O 0.289 0.785 0.664
35 O 0.369 0.163 0.089
36 O 0.369 0.337 0.411
37 O 0.383 0.012 0.705
38 O 0.383 0.488 0.795
39 O 0.420 0.552 0.314
40 O 0.420 0.948 0.186
41 O 0.499 0.177 0.441
42 O 0.499 0.323 0.059
43 O 0.501 0.677 0.941
44 O 0.501 0.823 0.559
45 O 0.580 0.052 0.814
46 O 0.580 0.448 0.686
47 O 0.617 0.512 0.205
48 O 0.617 0.988 0.295
49 O 0.631 0.663 0.589
50 O 0.631 0.837 0.911
51 O 0.711 0.215 0.336
52 O 0.711 0.285 0.164
53 O 0.750 0.000 0.956
54 O 0.750 0.500 0.544
55 O 0.789 0.715 0.164
56 O 0.789 0.785 0.336
57 O 0.869 0.163 0.911
58 O 0.869 0.337 0.589
59 O 0.883 0.012 0.295
60 O 0.883 0.488 0.205
61 O 0.920 0.552 0.686
62 O 0.920 0.948 0.814
63 O 0.999 0.177 0.559
64 O 0.999 0.323 0.941

Entry 6:
Na3As7: optimized geometry, PBE.

Summary:
- Crystal system: monoclinic
- Formation enthalpy at 0 K: -25.8 kJ per mole of atoms
- Space-group type: P2_1/c (14)

a b c (Å): 15.799 11.090 14.478
angles (deg): 90.00 115.83 90.00
Fractional coordinates of all 80 atoms:
1 Na 0.062 0.065 0.197
2 Na 0.062 0.435 0.697
3 Na 0.102 0.538 0.126
4 Na 0.102 0.962 0.626
5 Na 0.215 0.207 0.069
6 Na 0.215 0.293 0.569
7 Na 0.290 0.699 0.848
8 Na 0.290 0.801 0.348
9 Na 0.397 0.043 0.519
10 Na 0.397 0.457 0.019
11 Na 0.432 0.559 0.632
12 Na 0.432 0.941 0.132
13 Na 0.568 0.059 0.868
14 Na 0.568 0.441 0.368
15 Na 0.603 0.543 0.981
16 Na 0.603 0.957 0.481
17 Na 0.710 0.199 0.652
18 Na 0.710 0.301 0.152
19 Na 0.785 0.707 0.431
20 Na 0.785 0.793 0.931
21 Na 0.898 0.038 0.374
22 Na 0.898 0.462 0.874
23 Na 0.938 0.565 0.303
24 Na 0.938 0.935 0.803
25 As 0.016 0.220 0.541
26 As 0.016 0.280 0.041
27 As 0.073 0.648 0.866
28 As 0.073 0.852 0.366
29 As 0.098 0.644 0.578
30 As 0.098 0.856 0.078
31 As 0.121 0.661 0.320
32 As 0.121 0.839 0.820
33 As 0.189 0.563 0.484
34 As 0.189 0.937 0.984
35 As 0.218 0.584 0.012
36 As 0.218 0.916 0.512
37 As 0.242 0.247 0.349
38 As 0.242 0.253 0.849
39 As 0.257 0.735 0.613
40 As 0.257 0.765 0.113
41 As 0.294 0.076 0.285
42 As 0.294 0.424 0.785
43 As 0.306 0.071 0.794
44 As 0.306 0.429 0.294
45 As 0.387 0.155 0.702
46 As 0.387 0.345 0.202
47 As 0.393 0.153 0.975
48 As 0.393 0.347 0.475
49 As 0.442 0.154 0.292
50 As 0.442 0.346 0.792
51 As 0.482 0.728 0.030
52 As 0.482 0.772 0.530
53 As 0.518 0.228 0.470
54 As 0.518 0.272 0.970
55 As 0.558 0.654 0.208
56 As 0.558 0.846 0.708
57 As 0.607 0.653 0.525
58 As 0.607 0.847 0.025
59 As 0.613 0.655 0.798
60 As 0.613 0.845 0.298
61 As 0.694 0.571 0.706
62 As 0.694 0.929 0.206
63 As 0.706 0.576 0.215
64 As 0.706 0.924 0.715
65 As 0.743 0.235 0.887
66 As 0.743 0.265 0.387
67 As 0.758 0.747 0.151
68 As 0.758 0.753 0.651
69 As 0.782 0.084 0.488
70 As 0.782 0.416 0.988
71 As 0.811 0.063 0.016
72 As 0.811 0.437 0.516
73 As 0.879 0.161 0.180
74 As 0.879 0.339 0.680
75 As 0.902 0.144 0.922
76 As 0.902 0.356 0.422
77 As 0.927 0.148 0.634
78 As 0.927 0.352 0.134
79 As 0.984 0.720 0.959
80 As 0.984 0.780 0.459

Q: Which of these has the highest formation enthalpy at 0 K?
A: Na3As7